Density functional theory data (PBE-GGA) for crystalline Tm3Ga5Ni at its relaxed geometry.

```
Tm3Ga5Ni
1.0
6.8283 0.0000 0.0000
-3.4142 5.9135 0.0000
0.0000 0.0000 4.1734
Tm Ga Ni
3 5 1
direct
0.0000 0.5911 0.0000
0.4089 0.4089 0.0000
0.5911 0.0000 0.0000
0.0000 0.2349 0.5000
0.2349 0.0000 0.5000
0.3333 0.6667 0.5000
0.6667 0.3333 0.5000
0.7651 0.7651 0.5000
0.0000 0.0000 0.0000
```

Space group = P-62m
Formation energy from the elements = -5.99 eV per formula unit